Record 1
# Mg2Si3

A relaxed Mg2Si3 crystal (GGA-PBE, the Materials Project).

Values from the calculation:
DFT total energy   -3.7972 eV per atom
DFT formation energy   0.141 eV per atom

Structure (CIF):
```
data_Mg2Si3
_symmetry_space_group_name_H-M 'P -1'
_symmetry_Int_Tables_number 2
_cell_length_a 4.7243
_cell_length_b 5.5599
_cell_length_c 7.8303
_cell_angle_alpha 92.43
_cell_angle_beta 102.61
_cell_angle_gamma 114.58
loop_
_symmetry_equiv_pos_as_xyz
'x,y,z'
'-x,-y,-z'
loop_
_atom_site_label
_atom_site_fract_x
_atom_site_fract_y
_atom_site_fract_z
Mg1 0.1353 0.2947 0.4834
Mg2 0.2373 0.0837 0.8683
Si1 0.0683 0.5123 0.1636
Si2 0.3579 0.9537 0.3408
Si3 0.4885 0.6479 0.7929
```

***

Record 2
# Mg3Si4

A relaxed Mg3Si4 crystal (GGA-PBE, the Materials Project).

Values from the calculation:
DFT total energy   -3.6579 eV per atom
DFT formation energy   0.169 eV per atom

Structure (CIF):
```
data_Mg3Si4
_symmetry_space_group_name_H-M 'P 1'
_symmetry_Int_Tables_number 1
_cell_length_a 4.5981
_cell_length_b 7.4171
_cell_length_c 7.9420
_cell_angle_alpha 67.30
_cell_angle_beta 88.35
_cell_angle_gamma 89.25
loop_
_symmetry_equiv_pos_as_xyz
'x,y,z'
loop_
_atom_site_label
_atom_site_fract_x
_atom_site_fract_y
_atom_site_fract_z
Mg1 0.0000 0.0000 0.0000
Mg2 0.0002 0.1336 0.3295
Mg3 0.4914 0.2948 0.0433
Mg4 0.4975 0.5937 0.6490
Mg5 0.5034 0.4288 0.3699
Mg6 0.5107 0.7530 0.9499
Si1 0.0040 0.6987 0.4091
Si2 0.0138 0.5336 0.1690
Si3 0.4942 0.1870 0.7334
Si4 0.4987 0.9875 0.5559
Si5 0.5102 0.8915 0.2773
Si6 0.9882 0.5052 0.8657
Si7 0.9965 0.3392 0.6523
Si8 0.9991 0.8454 0.6673
```

***

Record 3
# Mg4Si3

A relaxed Mg4Si3 crystal (GGA-PBE, the Materials Project).

Values from the calculation:
DFT total energy   -3.2664 eV per atom
DFT formation energy   0.004 eV per atom

Structure (CIF):
```
data_Mg4Si3
_symmetry_space_group_name_H-M 'P -1'
_symmetry_Int_Tables_number 2
_cell_length_a 5.6216
_cell_length_b 6.3654
_cell_length_c 8.5085
_cell_angle_alpha 105.98
_cell_angle_beta 105.25
_cell_angle_gamma 100.53
loop_
_symmetry_equiv_pos_as_xyz
'x,y,z'
'-x,-y,-z'
loop_
_atom_site_label
_atom_site_fract_x
_atom_site_fract_y
_atom_site_fract_z
Mg1 0.1776 0.0009 0.1624
Mg2 0.2242 0.6744 0.6794
Mg3 0.2705 0.4938 0.0474
Mg4 0.3127 0.1533 0.5862
Si1 0.0948 0.7042 0.3224
Si2 0.3253 0.4298 0.3676
Si3 0.3777 0.0969 0.9143
```

***

Record 4
# Mg3Si4

A relaxed Mg3Si4 crystal (GGA-PBE, the Materials Project).

Values from the calculation:
DFT total energy   -3.6400 eV per atom
DFT formation energy   0.187 eV per atom

Structure (CIF):
```
data_Mg3Si4
_symmetry_space_group_name_H-M 'P 1'
_symmetry_Int_Tables_number 1
_cell_length_a 5.9401
_cell_length_b 6.5848
_cell_length_c 7.3831
_cell_angle_alpha 105.70
_cell_angle_beta 99.55
_cell_angle_gamma 105.35
loop_
_symmetry_equiv_pos_as_xyz
'x,y,z'
loop_
_atom_site_label
_atom_site_fract_x
_atom_site_fract_y
_atom_site_fract_z
Mg1 0.0000 0.0000 0.0000
Mg2 0.0098 0.4725 0.9446
Mg3 0.2098 0.7031 0.6676
Mg4 0.5294 0.3397 0.1580
Mg5 0.6883 0.7076 0.5665
Mg6 0.7532 0.1792 0.4856
Si1 0.0402 0.4145 0.3010
Si2 0.2307 0.8174 0.3115
Si3 0.2439 0.1940 0.7508
Si4 0.2977 0.2468 0.4460
Si5 0.4524 0.8828 0.0624
Si6 0.5654 0.5673 0.8839
Si7 0.6034 0.0845 0.8041
Si8 0.7926 0.7767 0.2299
```

***

Record 5
# Mg4Si3

A relaxed Mg4Si3 crystal (GGA-PBE, the Materials Project).

Values from the calculation:
DFT total energy   -3.1710 eV per atom
DFT formation energy   0.099 eV per atom

Structure (CIF):
```
data_Mg4Si3
_symmetry_space_group_name_H-M 'P 1'
_symmetry_Int_Tables_number 1
_cell_length_a 5.8401
_cell_length_b 6.4039
_cell_length_c 8.4328
_cell_angle_alpha 103.83
_cell_angle_beta 108.96
_cell_angle_gamma 102.26
loop_
_symmetry_equiv_pos_as_xyz
'x,y,z'
loop_
_atom_site_label
_atom_site_fract_x
_atom_site_fract_y
_atom_site_fract_z
Mg1 0.0000 0.0000 0.0000
Mg2 0.0197 0.4812 0.1200
Mg3 0.1365 0.2357 0.6968
Mg4 0.2960 0.6696 0.5591
Mg5 0.4754 0.9750 0.9790
Mg6 0.5904 0.1493 0.6504
Mg7 0.6808 0.3587 0.3784
Mg8 0.7950 0.8389 0.3009
Si1 0.1460 0.2301 0.3605
Si2 0.3248 0.9254 0.2843
Si3 0.4653 0.4067 0.0615
Si4 0.5867 0.5920 0.8745
Si5 0.8393 0.8084 0.6202
Si6 0.9414 0.5731 0.7898
```

***

Record 6
# Mg5Si6

A relaxed Mg5Si6 crystal (GGA-PBE, the Materials Project).

Values from the calculation:
DFT total energy   -3.5954 eV per atom
DFT formation energy   0.130 eV per atom

Structure (CIF):
```
data_Mg5Si6
_symmetry_space_group_name_H-M 'C 1 m 1'
_symmetry_Int_Tables_number 8
_cell_length_a 24.9690
_cell_length_b 4.1673
_cell_length_c 8.1723
_cell_angle_alpha 90.00
_cell_angle_beta 106.71
_cell_angle_gamma 90.00
loop_
_symmetry_equiv_pos_as_xyz
'x,y,z'
'x,-y,z'
'x+1/2,y+1/2,z'
'x+1/2,-y+1/2,z'
loop_
_atom_site_label
_atom_site_fract_x
_atom_site_fract_y
_atom_site_fract_z
Mg1 0.0000 0.0000 0.0000
Mg2 0.9997 0.0000 0.4038
Mg3 0.1140 0.5000 0.0124
Mg4 0.1826 0.5000 0.4778
Mg5 0.2086 0.0000 0.2159
Mg6 0.2387 0.5000 0.9622
Mg7 0.3066 0.5000 0.6982
Mg8 0.3646 0.5000 0.1603
Mg9 0.4084 0.5000 0.6010
Mg10 0.4967 0.0000 0.7196
Si1 0.0498 0.5000 0.2508
Si2 0.0678 0.0000 0.7426
Si3 0.0849 0.5000 0.5659
Si4 0.1061 0.0000 0.2776
Si5 0.1671 0.0000 0.8739
Si6 0.2301 0.0000 0.6961
Si7 0.2801 0.5000 0.3293
Si8 0.3158 0.0000 0.9387
Si9 0.3287 0.0000 0.4507
Si10 0.3957 0.0000 0.8198
Si11 0.4207 0.0000 0.3971
Si12 0.4487 0.0000 0.1357
```

***

Record 7
# Mg3Si4

A relaxed Mg3Si4 crystal (GGA-PBE, the Materials Project).

Values from the calculation:
DFT total energy   -3.6417 eV per atom
DFT formation energy   0.185 eV per atom

Structure (CIF):
```
data_Mg3Si4
_symmetry_space_group_name_H-M 'P -1'
_symmetry_Int_Tables_number 2
_cell_length_a 5.4450
_cell_length_b 6.9781
_cell_length_c 7.8643
_cell_angle_alpha 64.67
_cell_angle_beta 82.83
_cell_angle_gamma 69.27
loop_
_symmetry_equiv_pos_as_xyz
'x,y,z'
'-x,-y,-z'
loop_
_atom_site_label
_atom_site_fract_x
_atom_site_fract_y
_atom_site_fract_z
Mg1 0.1360 0.4753 0.1779
Mg2 0.2161 0.0375 0.1034
Mg3 0.2156 0.6522 0.4754
Si1 0.2604 0.2011 0.7110
Si2 0.2735 0.0275 0.4697
Si3 0.3061 0.7854 0.8300
Si4 0.4306 0.3892 0.8548
```

***

Record 8
# Mg3Si4

A relaxed Mg3Si4 crystal (GGA-PBE, the Materials Project).

Values from the calculation:
DFT total energy   -3.6964 eV per atom
DFT formation energy   0.130 eV per atom

Structure (CIF):
```
data_Mg3Si4
_symmetry_space_group_name_H-M 'P 1'
_symmetry_Int_Tables_number 1
_cell_length_a 5.8419
_cell_length_b 7.3567
_cell_length_c 7.4141
_cell_angle_alpha 113.35
_cell_angle_beta 101.67
_cell_angle_gamma 106.80
loop_
_symmetry_equiv_pos_as_xyz
'x,y,z'
loop_
_atom_site_label
_atom_site_fract_x
_atom_site_fract_y
_atom_site_fract_z
Mg1 0.0000 0.0000 0.0000
Mg2 0.0037 0.7194 0.5272
Mg3 0.2349 0.2028 0.5547
Mg4 0.6462 0.9778 0.5789
Mg5 0.6552 0.1440 0.2394
Mg6 0.8537 0.4066 0.0029
Si1 0.2249 0.8186 0.2332
Si2 0.2379 0.4687 0.3249
Si3 0.2571 0.6313 0.8808
Si4 0.3948 0.0856 0.8631
Si5 0.4129 0.4499 0.0557
Si6 0.5541 0.6347 0.6766
Si7 0.7960 0.8078 0.2220
Si8 0.8144 0.4169 0.6439
```

***

Record 9
# Mg5Si6

A relaxed Mg5Si6 crystal (GGA-PBE, the Materials Project).

Values from the calculation:
DFT total energy   -3.6172 eV per atom
DFT formation energy   0.108 eV per atom

Structure (CIF):
```
data_Mg5Si6
_symmetry_space_group_name_H-M 'C 1 m 1'
_symmetry_Int_Tables_number 8
_cell_length_a 28.9175
_cell_length_b 4.0674
_cell_length_c 6.8481
_cell_angle_alpha 90.00
_cell_angle_beta 96.92
_cell_angle_gamma 90.00
loop_
_symmetry_equiv_pos_as_xyz
'x,y,z'
'x,-y,z'
'x+1/2,y+1/2,z'
'x+1/2,-y+1/2,z'
loop_
_atom_site_label
_atom_site_fract_x
_atom_site_fract_y
_atom_site_fract_z
Mg1 0.0000 0.0000 0.0000
Mg2 0.0266 0.5000 0.3088
Mg3 0.0617 0.0000 0.6281
Mg4 0.1067 0.0000 0.1499
Mg5 0.1991 0.5000 0.2164
Mg6 0.2394 0.5000 0.7304
Mg7 0.2757 0.0000 0.0681
Mg8 0.3179 0.5000 0.4056
Mg9 0.3528 0.5000 0.9518
Mg10 0.4416 0.5000 0.3491
Si1 0.0558 0.5000 0.9291
Si2 0.1222 0.5000 0.4620
Si3 0.1319 0.5000 0.8281
Si4 0.1722 0.0000 0.5316
Si5 0.1816 0.0000 0.9005
Si6 0.2486 0.0000 0.4290
Si7 0.3079 0.0000 0.7075
Si8 0.3697 0.0000 0.2387
Si9 0.3852 0.0000 0.6011
Si10 0.4274 0.5000 0.7331
Si11 0.4344 0.0000 0.0485
Si12 0.4894 0.0000 0.6639
```

***

Record 10
# Mg2Si3

A relaxed Mg2Si3 crystal (GGA-PBE, the Materials Project).

Values from the calculation:
DFT total energy   -3.7993 eV per atom
DFT formation energy   0.139 eV per atom

Structure (CIF):
```
data_Mg2Si3
_symmetry_space_group_name_H-M 'P -1'
_symmetry_Int_Tables_number 2
_cell_length_a 3.5272
_cell_length_b 6.1028
_cell_length_c 9.1356
_cell_angle_alpha 99.28
_cell_angle_beta 100.04
_cell_angle_gamma 106.05
loop_
_symmetry_equiv_pos_as_xyz
'x,y,z'
'-x,-y,-z'
loop_
_atom_site_label
_atom_site_fract_x
_atom_site_fract_y
_atom_site_fract_z
Mg1 0.0835 0.2862 0.4097
Mg2 0.2423 0.0918 0.8835
Si1 0.0166 0.6146 0.9015
Si2 0.3489 0.4393 0.7197
Si3 0.3585 0.8850 0.3675
```

***

Record 11
# Mg3Si4

A relaxed Mg3Si4 crystal (GGA-PBE, the Materials Project).

Values from the calculation:
DFT total energy   -3.7022 eV per atom
DFT formation energy   0.124 eV per atom

Structure (CIF):
```
data_Mg3Si4
_symmetry_space_group_name_H-M 'P 1'
_symmetry_Int_Tables_number 1
_cell_length_a 6.7264
_cell_length_b 7.2639
_cell_length_c 11.7631
_cell_angle_alpha 72.79
_cell_angle_beta 87.68
_cell_angle_gamma 75.24
loop_
_symmetry_equiv_pos_as_xyz
'x,y,z'
loop_
_atom_site_label
_atom_site_fract_x
_atom_site_fract_y
_atom_site_fract_z
Mg1 0.0000 0.0000 0.0000
Mg2 0.0105 0.7513 0.5970
Mg3 0.0313 0.4260 0.2958
Mg4 0.1656 0.8149 0.2940
Mg5 0.2137 0.0905 0.6698
Mg6 0.2851 0.2504 0.0951
Mg7 0.5012 0.7330 0.5505
Mg8 0.5217 0.3923 0.2907
Mg9 0.5381 0.0225 0.9248
Mg10 0.6797 0.1731 0.5753
Mg11 0.7631 0.4081 0.7718
Mg12 0.8706 0.6017 0.0172
Si1 0.1532 0.2884 0.8572
Si2 0.1791 0.0456 0.4482
Si3 0.1963 0.6113 0.8303
Si4 0.2479 0.6459 0.1159
Si5 0.2715 0.4500 0.4992
Si6 0.3793 0.4044 0.7033
Si7 0.4562 0.0161 0.3140
Si8 0.4687 0.6358 0.9422
Si9 0.5514 0.7885 0.1717
Si10 0.6093 0.8160 0.7502
Si11 0.6546 0.2911 0.0140
Si12 0.7689 0.7440 0.3529
Si13 0.8305 0.0505 0.3764
Si14 0.8933 0.4686 0.5259
Si15 0.8985 0.2190 0.1695
Si16 0.9134 0.9077 0.7940
```

***

Record 12
# Mg5Si6

A relaxed Mg5Si6 crystal (GGA-PBE, the Materials Project).

Values from the calculation:
DFT total energy   -3.6180 eV per atom
DFT formation energy   0.107 eV per atom

Structure (CIF):
```
data_Mg5Si6
_symmetry_space_group_name_H-M 'C 1 m 1'
_symmetry_Int_Tables_number 8
_cell_length_a 30.5027
_cell_length_b 3.9764
_cell_length_c 6.9535
_cell_angle_alpha 90.00
_cell_angle_beta 102.52
_cell_angle_gamma 90.00
loop_
_symmetry_equiv_pos_as_xyz
'x,y,z'
'x,-y,z'
'x+1/2,y+1/2,z'
'x+1/2,-y+1/2,z'
loop_
_atom_site_label
_atom_site_fract_x
_atom_site_fract_y
_atom_site_fract_z
Mg1 0.0000 0.0000 0.0000
Mg2 0.0228 0.5000 0.3765
Mg3 0.0830 0.5000 0.0297
Mg4 0.1228 0.5000 0.5559
Mg5 0.2117 0.0000 0.6451
Mg6 0.2509 0.0000 0.1792
Mg7 0.2890 0.5000 0.5253
Mg8 0.3265 0.0000 0.8687
Mg9 0.3655 0.0000 0.4117
Mg10 0.4564 0.5000 0.5110
Si1 0.0077 0.5000 0.7365
Si2 0.0750 0.0000 0.3101
Si3 0.1401 0.0000 0.8720
Si4 0.1476 0.0000 0.2348
Si5 0.1887 0.5000 0.9612
Si6 0.1964 0.5000 0.3336
Si7 0.2617 0.5000 0.8767
Si8 0.3169 0.5000 0.1746
Si9 0.3822 0.5000 0.7153
Si10 0.3890 0.5000 0.0814
Si11 0.4336 0.0000 0.7970
Si12 0.4365 0.0000 0.1577
```